Below is Cs3Si after structural relaxation, with properties calculated at the PBE-GGA level.

a = 9.537 Å, b = 9.537 Å, c = 5.930 Å
α = 90.00°, β = 90.00°, γ = 120.00°
Fractional positions:
Cs 0.191 0.382 0.250
Cs 0.191 0.809 0.250
Cs 0.382 0.191 0.750
Cs 0.618 0.809 0.250
Cs 0.809 0.191 0.750
Cs 0.809 0.618 0.750
Si 0.333 0.667 0.750
Si 0.667 0.333 0.250

Computed properties:
Formation energy from the elements in meV/atom: 410.0
M_tot in μB per formula unit: 1.026
SG: P6_3/mmc (194)